This record from the Materials Project database describes a relaxed Zn2SO6 crystal. The functional is PBE-GGA.

Values from the calculation:
Offset from the most stable computed form: 63 meV/atom

The structure in CIF format:
```
data_Zn2SO6
_chemical_formula_sum 'Zn8 S4 O24'
_cell_length_a 4.638
_cell_length_b 6.767
_cell_length_c 14.992
_cell_angle_alpha 90.00
_cell_angle_beta 90.00
_cell_angle_gamma 90.00
_symmetry_space_group_name_H-M 'P 1'
_symmetry_Int_Tables_number 1
_symmetry_space_group_name_Hall 'P 1'
loop_
_atom_site_label
_atom_site_type_symbol
_atom_site_fract_x
_atom_site_fract_y
_atom_site_fract_z
O1 O 0.993 0.321 0.076
O2 O 0.493 0.179 0.924
O3 O 0.794 0.300 0.226
O4 O 0.405 0.603 0.396
O5 O 0.984 0.540 0.610
O6 O 0.007 0.821 0.424
O7 O 0.913 0.298 0.441
O8 O 0.595 0.103 0.104
O9 O 0.516 0.460 0.110
O10 O 0.255 0.235 0.338
O11 O 0.587 0.702 0.941
O12 O 0.755 0.265 0.662
O13 O 0.016 0.040 0.890
O14 O 0.745 0.735 0.162
O15 O 0.905 0.897 0.604
O16 O 0.294 0.200 0.774
O17 O 0.507 0.679 0.576
O18 O 0.245 0.765 0.838
O19 O 0.087 0.798 0.059
O20 O 0.095 0.397 0.896
O21 O 0.413 0.202 0.559
O22 O 0.484 0.960 0.390
O23 O 0.206 0.800 0.274
O24 O 0.706 0.700 0.726
Zn1 Zn 0.736 0.055 0.495
Zn2 Zn 0.642 0.359 0.346
Zn3 Zn 0.858 0.641 0.846
Zn4 Zn 0.764 0.945 0.995
Zn5 Zn 0.236 0.445 0.505
Zn6 Zn 0.142 0.141 0.654
Zn7 Zn 0.264 0.555 0.005
Zn8 Zn 0.358 0.859 0.154
S1 S 0.270 0.802 0.371
S2 S 0.770 0.698 0.629
S3 S 0.730 0.302 0.129
S4 S 0.230 0.198 0.871
```

***

This record from the Materials Project database describes a relaxed ZrS2O9 crystal. The functional is PBE-GGA.

Values from the calculation:
Offset from the most stable computed form: 0 meV/atom

The structure in CIF format:
```
data_ZrS2O9
_chemical_formula_sum 'Zr2 S4 O18'
_cell_length_a 5.343
_cell_length_b 8.168
_cell_length_c 9.138
_cell_angle_alpha 103.73
_cell_angle_beta 85.97
_cell_angle_gamma 107.99
_symmetry_space_group_name_H-M 'P 1'
_symmetry_Int_Tables_number 1
_symmetry_space_group_name_Hall 'P 1'
loop_
_atom_site_label
_atom_site_type_symbol
_atom_site_fract_x
_atom_site_fract_y
_atom_site_fract_z
O1 O 0.109 0.251 0.446
O2 O 0.543 0.111 0.822
O3 O 0.033 0.368 0.244
O4 O 0.457 0.889 0.178
O5 O 0.257 0.830 0.937
O6 O 0.018 0.676 0.129
O7 O 0.916 0.008 0.844
O8 O 0.967 0.632 0.756
O9 O 0.743 0.170 0.063
O10 O 0.084 0.992 0.156
O11 O 0.560 0.602 0.357
O12 O 0.982 0.324 0.871
O13 O 0.255 0.073 0.576
O14 O 0.745 0.927 0.424
O15 O 0.455 0.777 0.595
O16 O 0.440 0.398 0.643
O17 O 0.891 0.749 0.554
O18 O 0.545 0.223 0.405
S1 S 0.340 0.244 0.527
S2 S 0.660 0.756 0.473
S3 S 0.804 0.163 0.897
S4 S 0.196 0.837 0.103
Zr1 Zr 0.803 0.106 0.275
Zr2 Zr 0.197 0.894 0.725
```

***

This record from the Materials Project database describes a relaxed ZrS2O12 crystal. The functional is PBE-GGA.

The structure in CIF format:
```
data_ZrS2O12
_chemical_formula_sum 'Zr2 S4 O24'
_cell_length_a 5.721
_cell_length_b 6.349
_cell_length_c 14.499
_cell_angle_alpha 84.90
_cell_angle_beta 78.62
_cell_angle_gamma 63.22
_symmetry_space_group_name_H-M 'P 1'
_symmetry_Int_Tables_number 1
_symmetry_space_group_name_Hall 'P 1'
loop_
_atom_site_label
_atom_site_type_symbol
_atom_site_fract_x
_atom_site_fract_y
_atom_site_fract_z
O1 O 0.105 0.293 0.049
O2 O 0.783 0.920 0.869
O3 O 0.402 0.420 0.631
O4 O 0.846 0.707 0.049
O5 O 0.645 0.968 0.326
O6 O 0.447 0.707 0.951
O7 O 0.967 0.580 0.631
O8 O 0.811 0.468 0.826
O9 O 0.029 0.032 0.326
O10 O 0.105 0.532 0.174
O11 O 0.602 0.293 0.951
O12 O 0.148 0.207 0.549
O13 O 0.939 0.032 0.674
O14 O 0.348 0.080 0.869
O15 O 0.645 0.207 0.451
O16 O 0.298 0.920 0.131
O17 O 0.387 0.968 0.674
O18 O 0.452 0.580 0.369
O19 O 0.303 0.793 0.549
O20 O 0.179 0.420 0.369
O21 O 0.721 0.468 0.174
O22 O 0.904 0.793 0.451
O23 O 0.363 0.532 0.826
O24 O 0.571 0.080 0.131
S1 S 0.192 0.000 0.616
S2 S 0.558 0.500 0.884
S3 S 0.808 0.000 0.384
S4 S 0.942 0.500 0.116
Zr1 Zr 0.250 0.500 0.500
Zr2 Zr 0.500 0.000 0.000
```

***

This record from the Materials Project database describes a relaxed ZrS2O9 crystal. The functional is PBE-GGA.

Values from the calculation:
Offset from the most stable computed form: 9 meV/atom

The structure in CIF format:
```
data_ZrS2O9
_chemical_formula_sum 'Zr4 S8 O36'
_cell_length_a 8.677
_cell_length_b 7.508
_cell_length_c 11.966
_cell_angle_alpha 73.61
_cell_angle_beta 90.00
_cell_angle_gamma 90.00
_symmetry_space_group_name_H-M 'P 1'
_symmetry_Int_Tables_number 1
_symmetry_space_group_name_Hall 'P 1'
loop_
_atom_site_label
_atom_site_type_symbol
_atom_site_fract_x
_atom_site_fract_y
_atom_site_fract_z
O1 O 0.471 0.363 0.623
O2 O 0.660 0.372 0.296
O3 O 0.556 0.969 0.350
O4 O 0.971 0.637 0.877
O5 O 0.722 0.883 0.062
O6 O 0.778 0.883 0.562
O7 O 0.529 0.637 0.377
O8 O 0.160 0.628 0.204
O9 O 0.877 0.208 0.006
O10 O 0.840 0.372 0.796
O11 O 0.956 0.226 0.422
O12 O 0.340 0.628 0.704
O13 O 0.101 0.158 0.604
O14 O 0.456 0.774 0.078
O15 O 0.278 0.117 0.938
O16 O 0.679 0.149 0.711
O17 O 0.179 0.851 0.789
O18 O 0.899 0.842 0.396
O19 O 0.658 0.561 0.059
O20 O 0.842 0.561 0.559
O21 O 0.399 0.158 0.104
O22 O 0.158 0.439 0.441
O23 O 0.029 0.363 0.123
O24 O 0.342 0.439 0.941
O25 O 0.821 0.149 0.211
O26 O 0.444 0.031 0.650
O27 O 0.222 0.117 0.438
O28 O 0.944 0.969 0.850
O29 O 0.044 0.774 0.578
O30 O 0.601 0.842 0.896
O31 O 0.623 0.208 0.506
O32 O 0.321 0.851 0.289
O33 O 0.544 0.226 0.922
O34 O 0.123 0.792 0.994
O35 O 0.377 0.792 0.494
O36 O 0.056 0.031 0.150
S1 S 0.612 0.751 0.026
S2 S 0.448 0.802 0.378
S3 S 0.552 0.198 0.622
S4 S 0.388 0.249 0.974
S5 S 0.112 0.249 0.474
S6 S 0.888 0.751 0.526
S7 S 0.948 0.198 0.122
S8 S 0.052 0.802 0.878
Zr1 Zr 0.756 0.092 0.392
Zr2 Zr 0.244 0.908 0.608
Zr3 Zr 0.744 0.092 0.892
Zr4 Zr 0.256 0.908 0.108
```

***

This record from the Materials Project database describes a relaxed Zr3SO9 crystal. The functional is PBE-GGA.

The structure in CIF format:
```
data_Zr3SO9
_chemical_formula_sum 'Zr6 S2 O18'
_cell_length_a 6.439
_cell_length_b 6.439
_cell_length_c 9.912
_cell_angle_alpha 90.00
_cell_angle_beta 90.00
_cell_angle_gamma 120.00
_symmetry_space_group_name_H-M 'P 1'
_symmetry_Int_Tables_number 1
_symmetry_space_group_name_Hall 'P 1'
loop_
_atom_site_label
_atom_site_type_symbol
_atom_site_fract_x
_atom_site_fract_y
_atom_site_fract_z
O1 O 0.673 0.113 0.875
O2 O 0.560 0.673 0.125
O3 O 0.440 0.327 0.875
O4 O 0.333 0.667 0.713
O5 O 0.667 0.333 0.287
O6 O 0.998 0.332 0.569
O7 O 0.332 0.334 0.431
O8 O 0.667 0.333 0.685
O9 O 0.666 0.998 0.431
O10 O 0.327 0.887 0.125
O11 O 0.334 0.002 0.569
O12 O 0.333 0.667 0.315
O13 O 0.887 0.560 0.875
O14 O 0.002 0.668 0.431
O15 O 0.000 0.000 0.288
O16 O 0.113 0.440 0.125
O17 O 0.668 0.666 0.569
O18 O 0.000 0.000 0.712
Zr1 Zr 0.699 0.667 0.355
Zr2 Zr 0.967 0.301 0.355
Zr3 Zr 0.333 0.033 0.355
Zr4 Zr 0.301 0.333 0.645
Zr5 Zr 0.033 0.699 0.645
Zr6 Zr 0.667 0.967 0.645
S1 S 0.333 0.667 0.158
S2 S 0.667 0.333 0.842
```

***

This record from the Materials Project database describes a relaxed Zr2S3O18 crystal. The functional is PBE-GGA.

The structure in CIF format:
```
data_Zr2S3O18
_chemical_formula_sum 'Zr4 S6 O36'
_cell_length_a 7.625
_cell_length_b 7.625
_cell_length_c 15.421
_cell_angle_alpha 85.64
_cell_angle_beta 85.64
_cell_angle_gamma 50.51
_symmetry_space_group_name_H-M 'P 1'
_symmetry_Int_Tables_number 1
_symmetry_space_group_name_Hall 'P 1'
loop_
_atom_site_label
_atom_site_type_symbol
_atom_site_fract_x
_atom_site_fract_y
_atom_site_fract_z
Zr1 Zr 0.114 0.104 0.420
Zr2 Zr 0.886 0.896 0.580
Zr3 Zr 0.104 0.114 0.920
Zr4 Zr 0.896 0.886 0.080
O1 O 0.814 0.720 0.186
O2 O 0.482 0.814 0.406
O3 O 0.173 0.547 0.553
O4 O 0.731 0.841 0.862
O5 O 0.719 0.784 0.515
O6 O 0.157 0.825 0.364
O7 O 0.936 0.199 0.295
O8 O 0.814 0.482 0.906
O9 O 0.843 0.175 0.636
O10 O 0.199 0.936 0.795
O11 O 0.542 0.343 0.313
O12 O 0.547 0.173 0.053
O13 O 0.186 0.280 0.814
O14 O 0.064 0.801 0.705
O15 O 0.841 0.731 0.362
O16 O 0.159 0.269 0.638
O17 O 0.827 0.453 0.447
O18 O 0.784 0.719 0.015
O19 O 0.216 0.281 0.985
O20 O 0.954 0.127 0.044
O21 O 0.453 0.827 0.947
O22 O 0.720 0.814 0.686
O23 O 0.343 0.542 0.813
O24 O 0.518 0.186 0.594
O25 O 0.873 0.046 0.456
O26 O 0.801 0.064 0.205
O27 O 0.825 0.157 0.864
O28 O 0.280 0.186 0.314
O29 O 0.458 0.657 0.687
O30 O 0.175 0.843 0.136
O31 O 0.269 0.159 0.138
O32 O 0.046 0.873 0.956
O33 O 0.657 0.458 0.187
O34 O 0.186 0.518 0.094
O35 O 0.281 0.216 0.485
O36 O 0.127 0.954 0.544
S1 S 0.731 0.269 0.250
S2 S 0.302 0.276 0.069
S3 S 0.698 0.724 0.931
S4 S 0.276 0.302 0.569
S5 S 0.269 0.731 0.750
S6 S 0.724 0.698 0.431
```

***

This record from the Materials Project database describes a relaxed ZrS2O6 crystal. The functional is PBE-GGA.

The structure in CIF format:
```
data_ZrS2O6
_chemical_formula_sum 'Zr4 S8 O24'
_cell_length_a 7.036
_cell_length_b 10.448
_cell_length_c 17.713
_cell_angle_alpha 86.17
_cell_angle_beta 78.54
_cell_angle_gamma 70.32
_symmetry_space_group_name_H-M 'P 1'
_symmetry_Int_Tables_number 1
_symmetry_space_group_name_Hall 'P 1'
loop_
_atom_site_label
_atom_site_type_symbol
_atom_site_fract_x
_atom_site_fract_y
_atom_site_fract_z
O1 O 0.035 0.344 0.169
O2 O 0.073 0.666 0.432
O3 O 0.579 0.166 0.932
O4 O 0.104 0.604 0.294
O5 O 0.129 0.156 0.669
O6 O 0.677 0.834 0.068
O7 O 0.202 0.844 0.669
O8 O 0.261 0.666 0.568
O9 O 0.171 0.334 0.568
O10 O 0.292 0.604 0.706
O11 O 0.602 0.396 0.294
O12 O 0.458 0.896 0.794
O13 O 0.795 0.656 0.169
O14 O 0.002 0.396 0.706
O15 O 0.955 0.844 0.331
O16 O 0.495 0.334 0.432
O17 O 0.715 0.156 0.331
O18 O 0.621 0.344 0.831
O19 O 0.748 0.104 0.794
O20 O 0.489 0.834 0.932
O21 O 0.646 0.896 0.206
O22 O 0.148 0.104 0.206
O23 O 0.548 0.656 0.831
O24 O 0.255 0.166 0.068
S1 S 0.152 0.707 0.645
S2 S 0.609 0.793 0.145
S3 S 0.598 0.793 0.855
S4 S 0.141 0.707 0.355
S5 S 0.203 0.293 0.645
S6 S 0.246 0.207 0.145
S7 S 0.547 0.207 0.855
S8 S 0.504 0.293 0.355
Zr1 Zr 0.875 0.250 0.250
Zr2 Zr 0.875 0.250 0.750
Zr3 Zr 0.875 0.750 0.250
Zr4 Zr 0.375 0.750 0.750
```

***

This record from the Materials Project database describes a relaxed Zr2SO3 crystal. The functional is PBE-GGA.

The structure in CIF format:
```
data_Zr2SO3
_chemical_formula_sum 'Zr2 S1 O3'
_cell_length_a 3.859
_cell_length_b 3.859
_cell_length_c 5.524
_cell_angle_alpha 90.00
_cell_angle_beta 90.00
_cell_angle_gamma 90.00
_symmetry_space_group_name_H-M 'P 1'
_symmetry_Int_Tables_number 1
_symmetry_space_group_name_Hall 'P 1'
loop_
_atom_site_label
_atom_site_type_symbol
_atom_site_fract_x
_atom_site_fract_y
_atom_site_fract_z
S1 S 0.500 0.500 0.500
O1 O 0.000 0.000 0.000
O2 O 0.500 0.500 0.000
O3 O 0.000 0.000 0.500
Zr1 Zr 0.500 0.000 0.781
Zr2 Zr 0.000 0.500 0.219
```

***

| no. | E_tot (eV per cell) | calculated formation energy (eV/atom) |
| --- | --- | --- |
| 1 | -178.48 | -1.38 |
| 2 | -158.19 | -1.99 |
| 3 | -172.36 | -1.22 |
| 4 | -315.97 | -1.99 |
| 5 | -215.78 | -3.06 |
| 6 | -283.08 | -1.54 |
| 7 | -234.37 | -1.80 |
| 8 | -50.64 | -2.85 |